First-principles (PBE-GGA) data for a geometry-optimized Ba5P5I3 structure, as listed in the Materials Project database.

size of the total moment	0.00	μB per formula unit
SG	No. 12

Geometry as CIF:
```
data_Ba5P5I3
_chemical_formula_sum 'Ba10 P10 I6'
_cell_length_a 21.7015
_cell_length_b 21.7015
_cell_length_c 9.5721
_cell_angle_alpha 92.41
_cell_angle_beta 92.41
_cell_angle_gamma 12.19
_symmetry_space_group_name_H-M 'P 1'
_symmetry_Int_Tables_number 1
_symmetry_space_group_name_Hall 'P 1'
loop_
_atom_site_label
_atom_site_fract_x
_atom_site_fract_y
_atom_site_fract_z
_atom_site_occupancy
Ba1 0.0417 0.0417 0.3510 1
Ba2 0.0596 0.0596 0.7928 1
Ba3 0.2601 0.2601 0.2220 1
Ba4 0.3420 0.3420 0.9526 1
Ba5 0.3615 0.3615 0.4133 1
Ba6 0.6385 0.6385 0.5867 1
Ba7 0.6580 0.6580 0.0474 1
Ba8 0.7399 0.7399 0.7780 1
Ba9 0.9404 0.9404 0.2072 1
Ba10 0.9583 0.9583 0.6490 1
P1 0.1306 0.1306 0.8263 1
P2 0.1798 0.1798 0.7828 1
P3 0.2091 0.2091 0.9722 1
P4 0.4366 0.4366 0.4400 1
P5 0.4858 0.4858 0.3959 1
P6 0.5142 0.5142 0.6041 1
P7 0.5634 0.5634 0.5600 1
P8 0.7909 0.7909 0.0278 1
P9 0.8202 0.8202 0.2172 1
P10 0.8694 0.8694 0.1737 1
I1 0.1250 0.1250 0.2995 1
I2 0.2899 0.2899 0.6044 1
I3 0.4489 0.4489 0.9320 1
I4 0.5511 0.5511 0.0680 1
I5 0.7101 0.7101 0.3956 1
I6 0.8750 0.8750 0.7005 1
```

=====

First-principles (PBE-GGA) data for a geometry-optimized Sm2Br2F structure, as listed in the Materials Project database.

size of the total moment	1.03	μB per formula unit
SG	No. 123

Geometry as CIF:
```
data_Sm2Br2F
_chemical_formula_sum 'Sm2 Br2 F1'
_cell_length_a 3.9590
_cell_length_b 3.9590
_cell_length_c 13.7611
_cell_angle_alpha 90.00
_cell_angle_beta 90.00
_cell_angle_gamma 90.00
_symmetry_space_group_name_H-M 'P 1'
_symmetry_Int_Tables_number 1
_symmetry_space_group_name_Hall 'P 1'
loop_
_atom_site_label
_atom_site_fract_x
_atom_site_fract_y
_atom_site_fract_z
_atom_site_occupancy
Sm1 0.0000 0.0000 0.1668 1
Sm2 0.0000 0.0000 0.8332 1
Br1 0.0000 0.0000 0.3566 1
Br2 0.0000 0.0000 0.6434 1
F1 0.0000 0.0000 0.0000 1
```

=====

First-principles (PBE-GGA) data for a geometry-optimized TiZnHg2 structure, as listed in the Materials Project database.

size of the total moment	0.01	μB per formula unit
SG	No. 123

Geometry as CIF:
```
data_TiZnHg2
_chemical_formula_sum 'Ti1 Zn1 Hg2'
_cell_length_a 4.4196
_cell_length_b 4.4196
_cell_length_c 3.8749
_cell_angle_alpha 90.00
_cell_angle_beta 90.00
_cell_angle_gamma 90.00
_symmetry_space_group_name_H-M 'P 1'
_symmetry_Int_Tables_number 1
_symmetry_space_group_name_Hall 'P 1'
loop_
_atom_site_label
_atom_site_fract_x
_atom_site_fract_y
_atom_site_fract_z
_atom_site_occupancy
Ti1 0.0000 0.0000 0.0000 1
Zn1 0.5000 0.5000 0.0000 1
Hg1 0.0000 0.5000 0.5000 1
Hg2 0.5000 0.0000 0.5000 1
```

=====

First-principles (PBE-GGA) data for a geometry-optimized Na2ZrP2O11 structure, as listed in the Materials Project database.

size of the total moment	2.00	μB per formula unit
distance to the lowest polymorph of the same formula	0.000	eV/atom
SG	No. 1

Geometry as CIF:
```
data_Na2ZrP2O11
_chemical_formula_sum 'Na4 Zr2 P4 O22'
_cell_length_a 5.3223
_cell_length_b 8.9592
_cell_length_c 11.2059
_cell_angle_alpha 111.65
_cell_angle_beta 90.28
_cell_angle_gamma 90.91
_symmetry_space_group_name_H-M 'P 1'
_symmetry_Int_Tables_number 1
_symmetry_space_group_name_Hall 'P 1'
loop_
_atom_site_label
_atom_site_fract_x
_atom_site_fract_y
_atom_site_fract_z
_atom_site_occupancy
Na1 0.0000 0.0000 0.0000 1
Na2 0.0315 0.6691 0.5629 1
Na3 0.5147 0.2443 0.0447 1
Na4 0.5738 0.3446 0.7024 1
Zr1 0.0540 0.8223 0.3063 1
Zr2 0.5159 0.3381 0.3836 1
P1 0.0142 0.3900 0.1907 1
P2 0.0234 0.2325 0.5304 1
P3 0.5489 0.7593 0.4977 1
P4 0.5564 0.9431 0.1663 1
O1 0.0111 0.0660 0.4202 1
O2 0.0442 0.6034 0.8187 1
O3 0.0890 0.5668 0.2106 1
O4 0.1768 0.9801 0.7770 1
O5 0.2119 0.3260 0.2624 1
O6 0.2158 0.7059 0.8490 1
O7 0.2791 0.0857 0.7396 1
O8 0.2945 0.3059 0.5325 1
O9 0.3149 0.8490 0.1756 1
O10 0.3229 0.8334 0.4528 1
O11 0.3961 0.2072 0.8282 1
O12 0.4550 0.5836 0.4781 1
O13 0.5036 0.5327 0.1345 1
O14 0.5590 0.9825 0.0448 1
O15 0.5608 0.1001 0.2884 1
O16 0.6301 0.8378 0.6376 1
O17 0.7541 0.3928 0.2558 1
O18 0.7807 0.7505 0.4108 1
O19 0.7941 0.8478 0.1737 1
O20 0.8365 0.3519 0.5025 1
O21 0.9560 0.2319 0.6619 1
O22 0.9969 0.2770 0.0509 1
```

=====

| no. | final energy (Ha/atom) |
| --- | --- |
| 1 | -0.1626 |
| 2 | -0.1571 |
| 3 | -0.0883 |
| 4 | -0.2449 |